DFT (GGA-PBE) results for Na7Ti13O26 after structural relaxation.

Calculated values
The calculation puts the total moment at 7.00 Bohr magnetons per cell. The density is 3.527 g/cm³. The value obtained for the energy relative to the elements is -3.092 eV per atom.

Structure (CIF):
```
data_Na7Ti13O26
_space_group_name_H-M_alt 'P -1'
_space_group_IT_number 2
_space_group_name_Hall '-P 1'
_cell_length_a 5.156
_cell_length_b 10.751
_cell_length_c 11.359
_cell_angle_alpha 65.26
_cell_angle_beta 85.86
_cell_angle_gamma 80.91
loop_
_atom_site_label
_atom_site_type_symbol
_atom_site_fract_x
_atom_site_fract_y
_atom_site_fract_z
Na1 Na 0.000 0.000 0.000
Na2 Na 0.080 0.692 0.154
Na3 Na 0.160 0.385 0.308
Na4 Na 0.234 0.079 0.461
Ti1 Ti 0.000 0.500 0.000
Ti2 Ti 0.072 0.192 0.157
Ti3 Ti 0.163 0.883 0.313
Ti4 Ti 0.229 0.577 0.472
Ti5 Ti 0.313 0.268 0.624
Ti6 Ti 0.379 0.960 0.773
Ti7 Ti 0.470 0.654 0.924
O1 O 0.001 0.254 0.526
O2 O 0.071 0.949 0.677
O3 O 0.073 0.438 0.629
O4 O 0.141 0.640 0.839
O5 O 0.153 0.130 0.782
O6 O 0.220 0.331 0.991
O7 O 0.232 0.821 0.937
O8 O 0.291 0.024 0.148
O9 O 0.310 0.515 0.089
O10 O 0.367 0.715 0.301
O11 O 0.390 0.207 0.243
O12 O 0.443 0.410 0.456
O13 O 0.474 0.901 0.396
```